# 1
115
Lattice="-4.900 1.150 -8.006 4.092 -7.926 -2.933 -21.177 -13.552 12.748" Properties=species:S:1:pos:R:3 comment="Na2Li5Al7Si29O72 | the Materials Project database | PBE-GGA | relaxed" ef_ev_per_atom=-3.18 magnetic_moment_mub_per_cell=0.00 pbc="T T T"
O -4.537 -7.128 -0.092
O -4.864 -3.346 -2.418
O -13.331 -7.590 -0.393
O -3.257 -6.925 -6.620
O -12.511 -5.469 1.022
O -20.082 -16.125 6.080
O -20.573 -12.142 3.778
O -15.455 -11.363 2.531
O -10.203 -11.457 -2.496
O -13.923 -9.209 2.731
O -10.099 -12.462 -0.046
O -18.702 -16.231 8.401
O -7.802 -4.635 -6.424
O -11.600 -8.961 4.116
O -20.991 -13.777 7.045
O -7.511 -5.505 -3.902
O -8.598 -12.547 2.151
O -14.351 -15.641 8.229
O -9.953 -10.279 5.749
O -0.964 -6.591 -5.229
O -11.781 -7.897 1.782
O -14.749 -10.082 0.313
O -18.252 -18.000 6.430
O -10.713 -6.824 -0.311
O -15.739 -17.102 6.481
O 0.720 -4.554 -4.837
O -6.309 -3.241 -4.683
O -20.412 -11.456 8.151
O -12.362 -10.208 -1.179
O -16.105 -13.269 4.246
O -18.847 -12.492 6.113
O -17.257 -16.959 4.276
O -6.851 -4.751 -1.397
O -17.718 -11.293 3.882
O -12.926 -11.472 1.725
O -7.498 -10.196 1.480
O -8.015 -11.017 -1.012
O -15.163 -15.555 3.312
O -14.615 -14.743 5.780
O -6.347 -9.004 -0.613
O -0.132 -6.649 -0.335
O -3.077 -8.009 -4.273
O -10.323 -8.585 -2.366
O -1.916 -4.249 -4.340
O -11.535 -11.658 4.271
O -0.430 -5.724 -2.771
O -4.118 -8.914 -2.073
O -13.206 -6.880 3.816
O -17.127 -15.057 9.999
O -5.927 -7.057 -2.438
O -3.761 -2.351 -4.604
O -2.516 -5.738 -1.101
O -8.516 -6.725 -1.741
O -5.449 -5.654 -5.503
O -13.469 -13.561 3.739
O -18.782 -13.546 8.508
O -5.645 -1.013 -3.352
O -7.235 -11.132 3.945
O -17.336 -15.971 1.797
O -16.729 -14.724 7.296
O -21.779 -14.729 4.586
O -4.575 -4.467 -0.026
O -1.475 -2.207 -5.900
O -15.590 -17.929 2.498
O -17.360 -13.084 1.848
O -1.571 -8.044 -2.066
O -11.099 -13.549 2.132
O -3.303 -4.030 -6.628
O -19.474 -14.746 3.052
O -9.593 -10.192 3.025
O -8.962 -8.693 -0.022
O -6.268 -2.421 -0.301
Si -8.186 -11.066 2.701
Si -19.375 -17.120 7.203
Si -3.608 -5.778 0.110
Si -7.240 -5.995 -2.371
Si -9.217 -12.076 -1.421
Si -6.766 -4.747 -5.160
Si -16.332 -16.602 2.857
Si -12.159 -6.934 0.456
Si -16.838 -17.887 5.575
Si -2.187 -7.592 -5.657
Si -10.666 -10.292 4.327
Si -5.149 -2.489 -3.790
Si -1.139 -6.537 -1.546
Si -15.295 -15.594 6.981
Si -21.397 -15.044 6.113
Si -14.793 -14.284 4.218
Si -12.687 -8.252 3.140
Si -5.628 -3.733 -1.031
Si -7.688 -9.758 -0.062
Si -0.648 -5.268 -4.316
Si -17.789 -14.832 8.571
Si -2.701 -8.854 -2.891
Si -5.232 -8.037 -1.258
Si -14.284 -10.536 1.805
Si -9.690 -7.725 -1.199
Si -16.728 -12.234 3.055
Si -2.630 -3.221 -5.411
Si -9.740 -13.377 1.320
Si -19.750 -12.765 7.421
Al -11.278 -10.067 -2.556
Al -13.770 -9.205 -0.893
Al -18.345 -14.546 1.710
Al -19.271 -11.459 4.647
Al -12.291 -12.595 2.972
Al -4.228 -5.497 -6.832
Al -20.875 -13.743 3.339
Li -10.012 -8.710 1.732
Li -19.006 -16.089 4.238
Li -17.075 -13.155 5.915
Li -11.972 -11.616 0.048
Li -4.882 -7.044 -4.247
Na -16.206 -11.069 -1.346
Na -23.210 -15.605 2.959

# 2
24
Lattice="5.908 0.721 -6.697 -6.102 -5.193 -4.009 -2.758 4.727 -1.925" Properties=species:S:1:pos:R:3 comment="Na2LiAlP2 | the Materials Project database | PBE-GGA | relaxed" ef_ev_per_atom=-0.64 magnetic_moment_mub_per_cell=0.00 pbc="T T T"
Na -0.034 1.264 -9.961
Na 1.798 3.042 -7.592
Na -3.015 -3.246 -8.022
Na 1.453 -0.171 -6.244
Na -4.405 0.425 -6.387
Na 0.063 3.500 -4.608
Na -2.918 -1.010 -2.670
Na -4.750 -2.787 -5.038
P -3.432 -0.409 -9.200
P 0.383 -1.573 -8.783
P 4.068 1.115 -6.828
P 0.480 0.663 -3.430
P -3.335 1.827 -3.847
P -0.814 1.753 -7.006
P -2.138 -1.499 -5.624
P -7.020 -0.860 -5.802
Al -1.501 -0.453 -7.703
Al -1.451 0.707 -4.927
Al -0.168 -3.892 -9.317
Al -0.025 -0.580 -1.388
Li -1.550 -1.578 -10.397
Li -0.120 -2.767 -6.623
Li -0.074 -1.705 -4.082
Li -1.402 1.833 -2.233

# 3
4
Lattice="0.000 3.749 3.749 3.749 0.000 3.749 3.749 3.749 0.000" Properties=species:S:1:pos:R:3 comment="LiNd2Al | the Materials Project database | PBE-GGA | relaxed" ef_ev_per_atom=-0.19 pbc="T T T"
Nd 1.875 1.875 1.875
Nd 5.624 5.624 5.624
Al 3.749 3.749 3.749
Li 0.000 0.000 0.000

# 4
4
Lattice="0.000 3.434 3.434 3.434 0.000 3.434 3.434 3.434 0.000" Properties=species:S:1:pos:R:3 comment="Li2NdAl | the Materials Project database | PBE-GGA | relaxed" ef_ev_per_atom=-0.19 pbc="T T T"
Li 1.717 1.717 1.717
Li 5.151 5.151 5.151
Nd 0.000 0.000 0.000
Al 3.434 3.434 3.434

# 5
4
Lattice="2.908 -1.106 2.753 -0.744 -3.083 2.683 1.974 -3.632 -0.410" Properties=species:S:1:pos:R:3 comment="LiAl2Ni | the Materials Project database | PBE-GGA | relaxed" ef_ev_per_atom=-0.47 pbc="T T T"
Al 1.034 -1.955 1.256
Al 3.103 -5.866 3.769
Ni 0.000 0.000 0.000
Li 2.069 -3.910 2.513

# 6
16
Lattice="-5.094 -0.902 0.769 1.143 -4.634 2.139 0.378 2.723 5.698" Properties=species:S:1:pos:R:3 comment="LiAlO2 | the Materials Project database | PBE-GGA | relaxed" e_ij_max_c_m2=0.040 ef_ev_per_atom=-3.08 pbc="T T T"
Li -3.042 -1.392 2.623
Li -3.216 -4.505 2.366
Li -0.531 -1.420 5.982
Li -0.547 0.331 3.390
O -1.009 -1.210 2.242
O 0.260 -2.511 4.536
O -3.646 -0.040 3.932
O -0.099 -4.011 2.082
O -3.661 0.937 6.661
O -1.098 0.451 5.285
O -2.581 -1.726 6.105
O -2.458 -3.140 3.579
Al -3.064 -3.196 5.243
Al -0.779 -2.746 3.120
Al -0.698 -0.978 0.514
Al -2.794 -0.066 5.485

# 7
48
Lattice="-2.339 1.949 -2.441 -3.055 -0.793 2.295 4.210 21.290 12.966" Properties=species:S:1:pos:R:3 comment="LiAlO2 | the Materials Project database | PBE-GGA | relaxed" ef_ev_per_atom=-2.99 magnetic_moment_mub_per_cell=0.00 pbc="T T T"
Li 0.927 12.015 8.706
Li 2.011 17.057 8.574
Li -1.996 4.122 2.085
Li -0.592 11.223 6.410
Li 2.808 14.201 8.648
Li 0.000 0.000 0.000
Li 0.812 18.324 10.735
Li -1.155 1.489 2.296
Li -0.498 4.811 4.319
Li 0.586 9.853 4.187
Li 1.402 7.089 4.318
Li 2.668 20.379 10.597
O 1.195 20.260 11.914
O 1.017 5.144 3.133
O 3.825 19.341 11.779
O 2.340 18.719 9.586
O 0.543 10.071 7.522
O 2.646 20.705 13.999
O 0.385 1.949 1.187
O 1.316 13.983 9.905
O 0.197 7.885 2.988
O -0.468 4.520 0.939
O -0.979 9.268 5.219
O 2.421 12.240 7.454
O 1.982 17.348 11.954
O 1.790 9.050 5.512
O -0.088 6.883 5.581
O -0.826 3.149 3.307
O 0.971 11.797 5.371
O 3.193 16.146 9.833
O 1.601 14.985 7.312
O -1.132 1.163 -1.106
O -2.379 2.186 0.906
O -1.613 6.062 3.267
O -0.205 13.178 7.601
O 0.429 16.384 9.553
Al 1.628 15.559 10.864
Al 0.227 8.474 6.549
Al 0.110 14.775 8.573
Al 2.335 19.134 13.042
Al 0.701 3.546 2.160
Al -2.697 0.578 -0.073
Al 2.105 10.645 6.483
Al 1.287 13.394 6.344
Al -0.115 6.309 2.029
Al 3.509 17.744 10.806
Al -0.822 2.734 -0.149
Al -1.294 7.671 4.247

# 8
5
Lattice="-3.088 1.832 0.931 0.795 -0.486 3.590 1.895 3.188 0.011" Properties=species:S:1:pos:R:3 comment="LiAlO3 | the Materials Project database | PBE-GGA | relaxed" ef_ev_per_atom=-2.10 magnetic_moment_mub_per_cell=2.00 pbc="T T T"
O -1.146 0.673 2.261
O -0.596 2.510 0.471
O 1.345 1.351 1.801
Al -0.199 2.267 2.267
Li 0.000 0.000 0.000

# 9
98
Lattice="-8.873 3.816 0.481 1.614 -7.809 -5.471 -2.884 -8.047 10.636" Properties=species:S:1:pos:R:3 comment="Li9Al3P8O29 | the Materials Project database | PBE-GGA | relaxed" ef_ev_per_atom=-2.87 magnetic_moment_mub_per_cell=0.00 pbc="T T T"
P -2.439 -11.515 2.133
P -5.035 -5.755 -2.966
P -7.704 -0.525 3.514
P -7.944 -4.615 0.354
P -7.192 -5.124 5.192
P -2.199 -7.425 5.293
P -8.195 -9.151 5.608
P -5.750 -1.100 -0.126
P -10.121 -5.085 8.162
P -0.022 -6.956 -2.515
P -4.393 -10.940 5.774
P -3.449 -3.310 2.560
P -6.694 -8.730 3.087
P -5.108 -6.285 8.613
P -2.950 -6.917 0.455
P -1.948 -2.889 0.039
O -3.855 -2.065 3.356
O -8.318 -10.595 6.074
O -4.008 -5.242 8.077
O -8.384 -6.065 4.833
O -5.429 -0.204 -1.311
O -4.197 -6.051 0.095
O -4.611 -3.777 1.672
O -5.405 -11.211 4.618
O -1.759 -5.975 0.814
O -6.498 -5.645 8.500
O -11.189 -5.463 9.179
O -3.644 -6.395 -2.853
O -4.492 -9.443 6.202
O 1.046 -6.577 -3.531
O -7.913 -9.198 4.025
O -5.439 -5.381 -4.385
O -4.714 -11.836 6.958
O -7.243 -7.656 2.158
O -3.072 -3.680 -0.643
O -7.749 1.011 3.040
O -7.070 -8.360 6.291
O -2.021 -11.495 0.670
O -1.274 -7.488 -3.221
O -6.485 -5.085 0.358
O -2.230 -2.842 1.622
O -4.738 -0.829 1.029
O -1.828 -7.659 6.840
O -3.843 -10.954 2.398
O -5.138 -4.539 -2.038
O -6.288 -9.975 2.291
O -8.739 -1.251 2.648
O -4.704 -6.659 10.032
O -2.900 -4.384 3.489
O -5.945 -5.989 5.552
O -9.746 -6.212 7.190
O -7.196 -0.807 0.380
O -5.532 -8.263 3.975
O -7.583 -4.250 6.424
O -2.560 -7.790 -0.777
O -3.658 -6.955 5.289
O -1.280 -6.323 4.783
O -5.005 -7.501 7.685
O -8.862 -5.717 0.864
O -3.272 -7.813 1.640
O -6.871 -4.228 4.007
O -8.121 -0.545 4.978
O -5.650 -2.597 -0.555
O -8.869 -4.552 8.868
O -0.397 -5.828 -1.543
O -6.300 -1.086 3.249
O 0.558 -8.198 -1.674
O -9.532 -8.419 5.764
O -1.825 -1.445 -0.427
O -1.403 -10.789 2.999
O -8.077 -3.283 1.105
O -0.611 -3.622 -0.116
O -2.946 -11.233 5.268
O -2.066 -8.757 4.542
Al -1.250 -10.451 4.884
Al -0.020 -5.405 0.282
Al -4.576 -0.353 2.868
Al -7.181 -3.877 8.250
Al -5.317 -7.770 5.809
Al -4.826 -4.270 -0.162
Li -5.886 -2.773 -2.570
Li 0.000 0.000 0.000
Li -3.666 -8.913 3.094
Li -2.224 -4.890 -2.224
Li -6.477 -3.127 2.553
Li -3.024 -0.016 0.293
Li -7.919 -7.151 7.871
Li -2.365 -13.102 5.829
Li -8.233 -2.419 5.815
Li -4.257 -9.267 8.217
Li -7.777 1.062 -0.181
Li -1.910 -9.621 -0.168
Li -8.534 -6.278 2.814
Li -5.896 -6.939 0.780
Li -1.442 -4.024 5.318
Li -1.608 -5.762 2.833
Li -4.246 -5.101 4.867
Li -7.119 -12.024 5.355

# 10
38
Lattice="-0.294 -12.058 3.744 5.396 -5.053 6.267 -6.973 -5.036 3.718" Properties=species:S:1:pos:R:3 comment="Li2Al2Si3O12 | the Materials Project database | PBE-GGA | relaxed" ef_ev_per_atom=-2.65 magnetic_moment_mub_per_cell=8.00 pbc="T T T"
Li -4.078 -13.277 6.078
Li 2.508 -9.332 6.188
Li -3.064 -7.944 6.386
Li 0.852 -13.680 9.000
Si -5.307 -10.422 4.878
Si -0.146 -9.234 7.346
Si -2.049 -12.415 7.959
Si 3.754 -12.213 7.306
Si -1.568 -10.103 9.942
Si -0.459 -5.550 3.390
O 0.500 -12.623 5.007
O -1.450 -4.325 3.770
O -2.696 -11.892 6.554
O 0.899 -10.369 6.813
O 2.236 -12.870 7.347
O 2.351 -15.028 8.117
O -2.192 -18.401 10.493
O -3.980 -7.490 4.437
O -5.067 -13.615 7.928
O -2.827 -13.811 8.385
O -1.285 -6.705 2.561
O 0.182 -6.239 4.709
O -1.420 -10.984 4.095
O -0.458 -12.732 7.769
O 0.580 -7.758 7.176
O -0.540 -14.934 9.739
O -1.515 -9.259 6.455
O 0.735 -4.961 2.427
O 0.313 -17.091 11.084
O -0.465 -9.423 8.932
O -2.303 -11.347 9.161
O -3.221 -15.973 10.004
O 2.796 -7.918 7.747
O -3.842 -9.684 5.093
Al -2.030 -15.334 8.857
Al 0.774 -12.133 6.642
Al -2.318 -10.515 5.496
Al -0.156 -6.330 6.402